# 1
# LaMg14Mn, optimized geometry, DFT PBE
# VASP energy = -2.21 eV per atom
# Energy relative to the elements = 0.07 eV/atom
# Distance to the lowest polymorph of the same formula = 0.0000 eV per atom
data_LaMg14Mn
_chemical_formula_sum 'La2 Mg28 Mn2'
_cell_length_a 10.3471
_cell_length_b 6.4415
_cell_length_c 11.3894
_cell_angle_alpha 90.00
_cell_angle_beta 90.00
_cell_angle_gamma 90.00
_symmetry_space_group_name_H-M 'A m m 2'
_symmetry_Int_Tables_number 38
loop_
_symmetry_equiv_pos_as_xyz
'x,y,z'
'-x,-y,z'
'-x,y,z'
'x,-y,z'
'x,y+1/2,z+1/2'
'-x,-y+1/2,z+1/2'
'-x,y+1/2,z+1/2'
'x,-y+1/2,z+1/2'
loop_
_atom_site_label
_atom_site_fract_x
_atom_site_fract_y
_atom_site_fract_z
La1 0.0000 0.0000 0.0000
Mg1 0.0000 0.2413 0.2515
Mg2 0.2411 0.0000 0.6613
Mg3 0.2547 0.2421 0.4134
Mg4 0.2590 0.0000 0.1671
Mg5 0.5000 0.0000 0.4984
Mg6 0.5000 0.0000 0.9976
Mg7 0.5000 0.2489 0.7481
Mn1 0.0000 0.0000 0.4924



# 2
# MgSi6O12, optimized geometry, DFT PBE
# VASP energy = -7.44 eV per atom
# Energy relative to the elements = -2.95 eV/atom
# Distance to the lowest polymorph of the same formula = 0.0585 eV per atom
data_MgSi6O12
_chemical_formula_sum 'Mg2 Si12 O24'
_cell_length_a 13.9678
_cell_length_b 5.3051
_cell_length_c 9.2284
_cell_angle_alpha 90.00
_cell_angle_beta 127.69
_cell_angle_gamma 90.00
_symmetry_space_group_name_H-M 'C 1 2 1'
_symmetry_Int_Tables_number 5
loop_
_symmetry_equiv_pos_as_xyz
'x,y,z'
'-x,y,-z'
'x+1/2,y+1/2,z'
'-x+1/2,y+1/2,-z'
loop_
_atom_site_label
_atom_site_fract_x
_atom_site_fract_y
_atom_site_fract_z
Mg1 0.0000 0.0000 0.0000
Si1 0.0000 0.4459 0.5000
Si2 0.0000 0.4822 0.0000
Si3 0.1667 0.6486 0.9075
Si4 0.1800 0.2300 0.4331
O1 0.0752 0.6968 0.9646
O2 0.0847 0.6241 0.6864
O3 0.0883 0.2675 0.4877
O4 0.1187 0.0950 0.2418
O5 0.2159 0.5241 0.4159
O6 0.2432 0.3916 0.0137



Question: VASP energy of number 1 (LaMg14Mn)?
Answer: -2.21 eV per atom